(1)
Below is a relaxed ThAl20V2 crystal, with properties calculated at the r²SCAN level.

symmetry	No. 227
crystal system	cubic
mass density	3.8	g/cm3
total energy	-0.772	Ry per atom

abc: 10.217 10.217 10.217
angles: 60.00 60.00 60.00
Fractional positions:
Th: 0.500 0.500 0.500
Th: 0.750 0.750 0.750
Al: 0.125 0.625 0.625
Al: 0.625 0.125 0.625
Al: 0.625 0.625 0.125
Al: 0.625 0.625 0.625
Al: 0.863 0.863 0.137
Al: 0.137 0.137 0.863
Al: 0.863 0.137 0.863
Al: 0.137 0.863 0.137
Al: 0.137 0.863 0.863
Al: 0.863 0.137 0.137
Al: 0.387 0.387 0.113
Al: 0.113 0.113 0.387
Al: 0.387 0.113 0.387
Al: 0.113 0.387 0.113
Al: 0.113 0.387 0.387
Al: 0.387 0.113 0.113
Al: 0.568 0.299 0.299
Al: 0.299 0.568 0.834
Al: 0.299 0.834 0.568
Al: 0.834 0.299 0.299
Al: 0.299 0.299 0.568
Al: 0.568 0.834 0.299
Al: 0.834 0.568 0.299
Al: 0.299 0.299 0.834
Al: 0.299 0.568 0.299
Al: 0.834 0.299 0.568
Al: 0.568 0.299 0.834
Al: 0.299 0.834 0.299
Al: 0.682 0.951 0.951
Al: 0.951 0.682 0.416
Al: 0.951 0.416 0.682
Al: 0.416 0.951 0.951
Al: 0.951 0.951 0.682
Al: 0.682 0.416 0.951
Al: 0.416 0.682 0.951
Al: 0.951 0.951 0.416
Al: 0.951 0.682 0.951
Al: 0.416 0.951 0.682
Al: 0.682 0.951 0.416
Al: 0.951 0.416 0.951
V: 0.625 0.125 0.125
V: 0.125 0.625 0.125
V: 0.125 0.125 0.625
V: 0.125 0.125 0.125


(2)
Below is a relaxed VBO4 crystal, with properties calculated at the r²SCAN level.

symmetry	No. 82
crystal system	tetragonal
mass density	2.5	g/cm3
total energy	-0.737	Ry per atom

abc: 4.837 4.978 4.837
angles: 60.93 90.00 119.07
Fractional positions:
V: 0.000 0.000 0.000
B: 0.750 0.500 0.750
O: 0.408 0.269 0.966
O: 0.765 0.731 0.408
O: 0.861 0.269 0.765
O: 0.966 0.731 0.861


(3)
Below is a relaxed ErCu4Ag crystal, with properties calculated at the r²SCAN level.

symmetry	No. 216
crystal system	cubic
mass density	10.1	g/cm3
total energy	-1.226	Ry per atom

abc: 4.977 4.977 4.977
angles: 60.00 60.00 60.00
Fractional positions:
Er: 0.000 0.000 0.000
Cu: 0.624 0.624 0.127
Cu: 0.624 0.127 0.624
Cu: 0.127 0.624 0.624
Cu: 0.624 0.624 0.624
Ag: 0.250 0.250 0.250


(4)
Below is a relaxed Rb2SmCl5 crystal, with properties calculated at the r²SCAN level.

symmetry	No. 62
crystal system	orthorhombic
mass density	3.5	g/cm3
total energy	-0.990	Ry per atom

abc: 8.215 8.843 13.152
angles: 90.00 90.00 90.00
Fractional positions:
Rb: 0.559 0.494 0.829
Rb: 0.441 0.506 0.171
Rb: 0.059 0.506 0.671
Rb: 0.441 0.994 0.171
Rb: 0.941 0.494 0.329
Rb: 0.559 0.006 0.829
Rb: 0.941 0.006 0.329
Rb: 0.059 0.994 0.671
Sm: 0.572 0.750 0.505
Sm: 0.428 0.250 0.495
Sm: 0.072 0.250 0.995
Sm: 0.928 0.750 0.005
Cl: 0.848 0.750 0.803
Cl: 0.152 0.250 0.197
Cl: 0.348 0.250 0.697
Cl: 0.652 0.750 0.303
Cl: 0.385 0.750 0.676
Cl: 0.615 0.250 0.324
Cl: 0.885 0.250 0.824
Cl: 0.115 0.750 0.176
Cl: 0.907 0.750 0.511
Cl: 0.093 0.250 0.489
Cl: 0.407 0.250 0.989
Cl: 0.593 0.750 0.011
Cl: 0.663 0.043 0.570
Cl: 0.337 0.957 0.430
Cl: 0.163 0.957 0.930
Cl: 0.337 0.543 0.430
Cl: 0.837 0.043 0.070
Cl: 0.663 0.457 0.570
Cl: 0.837 0.457 0.070
Cl: 0.163 0.543 0.930